No. 1
VASP calculation (PBE with a Hubbard U) on a relaxed MoHCl2O2 crystal.

Results
Raw total energy (eV/cell): -55.0

Unit cell a=9.3235 b=3.8437 c=7.4713 alpha=90.00 beta=90.00 gamma=90.00
Closest atoms and distances in Å follow each position.
Positions (direct):
Mo (0.0000, 0.1996, 0.0000)  2 O 1.70-1.81
Mo (0.5000, 0.8004, 0.5000)  2 O 1.70-1.81
H (0.0000, 0.2351, 0.3305)  1 Mo 2.47
H (0.5000, 0.7649, 0.8305)  1 Mo 2.47
Cl (0.2392, 0.2731, 0.0758)  1 Mo 2.32
Cl (0.2608, 0.7269, 0.5758)  1 Mo 2.32
Cl (0.7392, 0.7269, 0.5758)  1 Mo 2.32
Cl (0.7608, 0.2731, 0.0758)  1 Mo 2.32
O (0.0000, 0.2177, 0.7724)  1 Mo 1.70
O (0.0000, 0.7382, 0.0464)  1 Mo 1.81
O (0.5000, 0.2618, 0.5464)  1 Mo 1.81
O (0.5000, 0.7823, 0.2724)  1 Mo 1.70

=====

No. 2
VASP calculation (PBE with a Hubbard U) on a relaxed KMnF3 crystal.

Results
Raw total energy (eV/cell): -56.1

Unit cell a=6.0424 b=6.0424 c=6.0424 alpha=120.05 beta=120.05 gamma=89.92
Closest atoms and distances in Å follow each position.
Positions (direct):
K (0.2500, 0.7500, 0.5000)  12 F 2.96-3.08
K (0.7500, 0.2500, 0.5000)  12 F 2.96-3.08
Mn (0.0000, 0.0000, 0.0000)  6 F 2.14
Mn (0.5000, 0.5000, 0.0000)  6 F 2.14
F (0.2400, 0.7400, 0.9800)  2 Mn 2.14
F (0.2500, 0.2500, 0.0000)  2 Mn 2.14
F (0.2600, 0.2400, 0.5000)  2 Mn 2.14
F (0.7400, 0.7600, 0.5000)  2 Mn 2.14
F (0.7500, 0.7500, 0.0000)  2 Mn 2.14
F (0.7600, 0.2600, 0.0200)  2 Mn 2.14

=====

No. 3
VASP calculation (PBE with a Hubbard U) on a relaxed LiScW2O8 crystal.

Results
Raw total energy (eV/cell): -181.8

Unit cell a=7.5529 b=7.5529 c=5.0747 alpha=90.83 beta=90.83 gamma=100.43
Closest atoms and distances in Å follow each position.
Positions (direct):
Li (0.1671, 0.8329, 0.7500)  6 O 2.19-2.25
Li (0.8329, 0.1671, 0.2500)  6 O 2.19-2.25
Sc (0.3318, 0.6682, 0.2500)  6 O 2.10-2.16
Sc (0.6682, 0.3318, 0.7500)  6 O 2.10-2.16
W (0.1606, 0.3330, 0.7527)  4 O 1.83-1.99
W (0.3330, 0.1606, 0.2527)  4 O 1.83-1.99
W (0.6670, 0.8394, 0.7473)  4 O 1.83-1.99
W (0.8394, 0.6670, 0.2473)  4 O 1.83-1.99
O (0.0670, 0.6871, 0.3868)  1 W 1.83
O (0.0959, 0.1984, 0.0646)  2 W 1.91-2.08
O (0.1957, 0.5612, 0.9033)  1 W 1.85
O (0.1984, 0.0959, 0.5646)  2 W 1.91-2.08
O (0.3026, 0.4161, 0.4351)  2 W 1.99-2.18, 1 Sc 2.11
O (0.3129, 0.9330, 0.1132)  1 W 1.83
O (0.4161, 0.3026, 0.9351)  2 W 1.99-2.18, 1 Sc 2.11
O (0.4388, 0.8043, 0.5967)  1 W 1.85
O (0.5612, 0.1957, 0.4033)  1 W 1.85
O (0.5839, 0.6974, 0.0649)  2 W 1.99-2.18, 1 Sc 2.11
O (0.6871, 0.0670, 0.8868)  1 W 1.83
O (0.6974, 0.5839, 0.5649)  2 W 1.99-2.18, 1 Sc 2.11
O (0.8016, 0.9041, 0.4354)  2 W 1.91-2.08
O (0.8043, 0.4388, 0.0967)  1 W 1.85
O (0.9041, 0.8016, 0.9354)  2 W 1.91-2.08
O (0.9330, 0.3129, 0.6132)  1 W 1.83

=====

No. 4
VASP calculation (PBE with a Hubbard U) on a relaxed Tl2CrO4 crystal.

Results
Relative energy among the computed polymorphs (kcal/mol of atoms): 0.00
Raw total energy (eV/cell): -160.1

Unit cell a=8.0932 b=5.9738 c=11.2644 alpha=90.00 beta=90.00 gamma=90.00
Closest atoms and distances in Å follow each position.
Positions (direct):
Tl (0.0029, 0.2500, 0.2137)  5 O 2.69-2.94
Tl (0.1807, 0.7500, 0.4320)  3 O 2.64-2.83
Tl (0.3193, 0.2500, 0.9320)  3 O 2.64-2.83
Tl (0.4971, 0.7500, 0.7137)  5 O 2.69-2.94
Tl (0.5029, 0.2500, 0.2863)  5 O 2.69-2.94
Tl (0.6807, 0.7500, 0.0680)  3 O 2.64-2.83
Tl (0.8193, 0.2500, 0.5680)  3 O 2.64-2.83
Tl (0.9971, 0.7500, 0.7863)  5 O 2.69-2.94
Cr (0.2108, 0.7500, 0.0753)  4 O 1.66-1.68
Cr (0.2892, 0.2500, 0.5753)  4 O 1.66-1.68
Cr (0.7108, 0.7500, 0.4247)  4 O 1.66-1.68
Cr (0.7892, 0.2500, 0.9247)  4 O 1.66-1.68
O (0.0060, 0.7500, 0.0895)  1 Cr 1.66
O (0.2115, 0.0184, 0.6375)  1 Cr 1.67
O (0.2115, 0.4816, 0.6375)  1 Cr 1.67
O (0.2380, 0.2500, 0.4306)  1 Cr 1.68
O (0.2620, 0.7500, 0.9306)  1 Cr 1.68
O (0.2885, 0.5184, 0.1375)  1 Cr 1.67
O (0.2885, 0.9816, 0.1375)  1 Cr 1.67
O (0.4940, 0.2500, 0.5895)  1 Cr 1.66
O (0.5060, 0.7500, 0.4105)  1 Cr 1.66
O (0.7115, 0.0184, 0.8625)  1 Cr 1.67
O (0.7115, 0.4816, 0.8625)  1 Cr 1.67
O (0.7380, 0.2500, 0.0694)  1 Cr 1.68
O (0.7620, 0.7500, 0.5694)  1 Cr 1.68
O (0.7885, 0.5184, 0.3625)  1 Cr 1.67
O (0.7885, 0.9816, 0.3625)  1 Cr 1.67
O (0.9940, 0.2500, 0.9105)  1 Cr 1.66

=====

No. 5
VASP calculation (PBE with a Hubbard U) on a relaxed MgW4O12 crystal.

Results
Relative energy among the computed polymorphs (kcal/mol of atoms): 1.89
Raw total energy (eV/cell): -123.5

Unit cell a=7.7926 b=7.7926 c=3.8815 alpha=90.00 beta=90.00 gamma=90.00
Closest atoms and distances in Å follow each position.
Positions (direct):
Mg (0.0000, 0.0000, 0.0000)  12 O 2.65-2.66
W (0.2515, 0.2554, 0.5000)  6 O 1.92-1.98
W (0.2554, 0.7485, 0.5000)  6 O 1.92-1.98
W (0.7446, 0.2515, 0.5000)  6 O 1.92-1.98
W (0.7485, 0.7446, 0.5000)  6 O 1.92-1.98
O (0.0016, 0.7658, 0.5000)  2 W 1.98
O (0.2342, 0.0016, 0.5000)  2 W 1.98
O (0.2381, 0.2428, 0.0000)  2 W 1.95
O (0.2428, 0.7619, 0.0000)  2 W 1.95
O (0.2500, 0.5018, 0.5000)  2 W 1.92
O (0.4982, 0.2500, 0.5000)  2 W 1.92
O (0.5018, 0.7500, 0.5000)  2 W 1.92
O (0.7500, 0.4982, 0.5000)  2 W 1.92
O (0.7572, 0.2381, 0.0000)  2 W 1.95
O (0.7619, 0.7572, 0.0000)  2 W 1.95
O (0.7658, 0.9984, 0.5000)  2 W 1.98
O (0.9984, 0.2342, 0.5000)  2 W 1.98

=====

No. 6
VASP calculation (PBE with a Hubbard U) on a relaxed MgVAg3O4 crystal.

Results
Relative energy among the computed polymorphs (kcal/mol of atoms): 2.12
Raw total energy (eV/cell): -46.0

Unit cell a=5.9919 b=5.9919 c=5.9919 alpha=126.67 beta=119.62 gamma=84.75
Closest atoms and distances in Å follow each position.
Positions (direct):
Mg (0.0000, 0.0000, 0.0000)  4 O 1.99
V (0.0000, 0.5000, 0.5000)  4 O 1.84
Ag (0.3393, 0.3393, 0.0000)  4 O 2.47-2.62
Ag (0.5000, 0.0000, 0.5000)  4 O 2.75, 2 Mg 3.01, 4 Ag 3.04
Ag (0.6607, 0.6607, 0.0000)  4 O 2.47-2.62
O (0.0352, 0.6148, 0.8810)  1 V 1.84, 1 Mg 1.99
O (0.2662, 0.3852, 0.4205)  1 V 1.84, 1 Mg 1.99
O (0.7338, 0.1543, 0.1190)  1 V 1.84, 1 Mg 1.99
O (0.9648, 0.8457, 0.5795)  1 V 1.84, 1 Mg 1.99

=====

No. 7
VASP calculation (PBE with a Hubbard U) on a relaxed Mg3MoO4 crystal.

Results
Raw total energy (eV/cell): -47.9

Unit cell a=4.4663 b=4.4663 c=4.4663 alpha=90.00 beta=90.00 gamma=90.00
Closest atoms and distances in Å follow each position.
Positions (direct):
Mg (0.0000, 0.0000, 0.5000)  6 O 2.23
Mg (0.0000, 0.5000, 0.0000)  6 O 2.23
Mg (0.5000, 0.0000, 0.0000)  6 O 2.23
Mo (0.5000, 0.5000, 0.5000)  6 O 2.23
O (0.0000, 0.0000, 0.0000)  6 Mg 2.23
O (0.0000, 0.5000, 0.5000)  2 Mo 2.23, 4 Mg 2.23
O (0.5000, 0.0000, 0.5000)  2 Mo 2.23, 4 Mg 2.23
O (0.5000, 0.5000, 0.0000)  2 Mo 2.23, 4 Mg 2.23

=====

No. 8
VASP calculation (PBE with a Hubbard U) on a relaxed MgV4O10 crystal.

Results
Relative energy among the computed polymorphs (kcal/mol of atoms): 1.11
Raw total energy (eV/cell): -110.4

Unit cell a=5.2781 b=6.5775 c=6.6638 alpha=79.61 beta=88.31 gamma=89.92
Closest atoms and distances in Å follow each position.
Positions (direct):
Mg (0.0000, 0.0000, 0.0000)  4 O 2.05-2.06
V (0.4204, 0.6931, 0.8405)  1 O 1.66
V (0.4551, 0.1956, 0.7043)  4 O 1.67-1.84
V (0.5449, 0.8044, 0.2957)  4 O 1.67-1.84
V (0.5796, 0.3069, 0.1595)  1 O 1.66
O (0.1181, 0.7398, 0.8932)  1 V 1.66
O (0.1433, 0.1515, 0.7246)  1 V 1.67
O (0.3928, 0.0392, 0.1817)  2 V 1.79-2.00
O (0.4513, 0.7206, 0.5463)  1 V 1.72
O (0.4917, 0.3944, 0.8627)  3 V 1.84-2.02
O (0.5083, 0.6056, 0.1373)  3 V 1.84-2.02
O (0.5487, 0.2794, 0.4537)  1 V 1.72
O (0.6072, 0.9608, 0.8183)  2 V 1.79-2.00
O (0.8567, 0.8485, 0.2754)  1 V 1.67
O (0.8819, 0.2602, 0.1068)  1 V 1.66

=====

No. 9
VASP calculation (PBE with a Hubbard U) on a relaxed CsNiF3 crystal.

Results
Raw total energy (eV/cell): -64.5

Unit cell a=8.3499 b=8.3499 c=8.3499 alpha=43.79 beta=43.79 gamma=43.79
Closest atoms and distances in Å follow each position.
Positions (direct):
Cs (0.0000, 0.0000, 0.0000)  12 F 3.11-3.19
Cs (0.2146, 0.2146, 0.2146)  12 F 3.14-3.23
Cs (0.7854, 0.7854, 0.7854)  12 F 3.14-3.23
Ni (0.3795, 0.3795, 0.3795)  6 F 2.06-2.08
Ni (0.5000, 0.5000, 0.5000)  6 F 2.03
Ni (0.6205, 0.6205, 0.6205)  6 F 2.06-2.08
F (0.0000, 0.5000, 0.5000)  2 Ni 2.08
F (0.2757, 0.7011, 0.7011)  2 Ni 2.03-2.06
F (0.2989, 0.2989, 0.7243)  2 Ni 2.03-2.06
F (0.2989, 0.7243, 0.2989)  2 Ni 2.03-2.06
F (0.5000, 0.0000, 0.5000)  2 Ni 2.08
F (0.5000, 0.5000, 0.0000)  2 Ni 2.08
F (0.7011, 0.2757, 0.7011)  2 Ni 2.03-2.06
F (0.7011, 0.7011, 0.2757)  2 Ni 2.03-2.06
F (0.7243, 0.2989, 0.2989)  2 Ni 2.03-2.06

=====

No. 10
VASP calculation (PBE with a Hubbard U) on a relaxed VAgSeO5 crystal.

Results
Raw total energy (eV/cell): -189.6

Unit cell a=4.3457 b=20.2816 c=5.2893 alpha=90.00 beta=90.00 gamma=90.00
Closest atoms and distances in Å follow each position.
Positions (direct):
V (0.0839, 0.1916, 0.2500)  3 O 1.63-1.82
V (0.0839, 0.3084, 0.7500)  3 O 1.63-1.82
V (0.9161, 0.6916, 0.2500)  3 O 1.63-1.82
V (0.9161, 0.8084, 0.7500)  3 O 1.63-1.82
Ag (0.1562, 0.5147, 0.2500)  4 O 2.37-2.54
Ag (0.1562, 0.9853, 0.7500)  4 O 2.37-2.54
Ag (0.8438, 0.0147, 0.2500)  4 O 2.37-2.54
Ag (0.8438, 0.4853, 0.7500)  4 O 2.37-2.54
Se (0.2716, 0.6216, 0.7500)  3 O 1.71-1.76
Se (0.2716, 0.8784, 0.2500)  3 O 1.71-1.76
Se (0.7284, 0.1216, 0.7500)  3 O 1.71-1.76
Se (0.7284, 0.3784, 0.2500)  3 O 1.71-1.76
O (0.0063, 0.7500, 0.0000)  2 V 1.82
O (0.0063, 0.7500, 0.5000)  2 V 1.82
O (0.0120, 0.6183, 0.0061)  1 Se 1.76
O (0.0120, 0.6183, 0.4939)  1 Se 1.76
O (0.0120, 0.8817, 0.5061)  1 Se 1.76
O (0.0120, 0.8817, 0.9939)  1 Se 1.76
O (0.3609, 0.5394, 0.7500)  1 Se 1.71
O (0.3609, 0.9606, 0.2500)  1 Se 1.71
O (0.4590, 0.1863, 0.2500)  1 V 1.63
O (0.4590, 0.3137, 0.7500)  1 V 1.63
O (0.5410, 0.6863, 0.2500)  1 V 1.63
O (0.5410, 0.8137, 0.7500)  1 V 1.63
O (0.6391, 0.0394, 0.7500)  1 Se 1.71
O (0.6391, 0.4606, 0.2500)  1 Se 1.71
O (0.9880, 0.1183, 0.0061)  1 Se 1.76
O (0.9880, 0.1183, 0.4939)  1 Se 1.76
O (0.9880, 0.3817, 0.5061)  1 Se 1.76
O (0.9880, 0.3817, 0.9939)  1 Se 1.76
O (0.9937, 0.2500, 0.0000)  2 V 1.82
O (0.9937, 0.2500, 0.5000)  2 V 1.82

=====

No. 11
VASP calculation (PBE with a Hubbard U) on a relaxed LiFeF4 crystal.

Results
Relative energy among the computed polymorphs (kcal/mol of atoms): 0.23
Raw total energy (eV/cell): -123.3

Unit cell a=4.7760 b=5.6552 c=10.2719 alpha=90.00 beta=90.00 gamma=90.00
Closest atoms and distances in Å follow each position.
Positions (direct):
Li (0.0000, 0.0000, 0.0000)  6 F 2.04-2.17
Li (0.0000, 0.0000, 0.5000)  6 F 2.04-2.17
Li (0.5000, 0.5000, 0.0000)  6 F 2.04-2.17
Li (0.5000, 0.5000, 0.5000)  6 F 2.04-2.17
Fe (0.0000, 0.3323, 0.2500)  6 F 1.90-2.04
Fe (0.0000, 0.6677, 0.7500)  6 F 1.90-2.04
Fe (0.5000, 0.1677, 0.7500)  6 F 1.90-2.04
Fe (0.5000, 0.8323, 0.2500)  6 F 1.90-2.04
F (0.1971, 0.3053, 0.0897)  1 Fe 1.90, 1 Li 2.04
F (0.1971, 0.6947, 0.5897)  1 Fe 1.90, 1 Li 2.04
F (0.2381, 0.0662, 0.3245)  2 Fe 1.97-2.04, 1 Li 2.16
F (0.2381, 0.9338, 0.8245)  2 Fe 1.97-2.04, 1 Li 2.16
F (0.2619, 0.4338, 0.8245)  2 Fe 1.97-2.04, 1 Li 2.16
F (0.2619, 0.5662, 0.3245)  2 Fe 1.97-2.04, 1 Li 2.16
F (0.3029, 0.1947, 0.5897)  1 Fe 1.90, 1 Li 2.04
F (0.3029, 0.8053, 0.0897)  1 Fe 1.90, 1 Li 2.04
F (0.6971, 0.1947, 0.9103)  1 Fe 1.90, 1 Li 2.04
F (0.6971, 0.8053, 0.4103)  1 Fe 1.90, 1 Li 2.04
F (0.7381, 0.4338, 0.6755)  2 Fe 1.97-2.04, 1 Li 2.16
F (0.7381, 0.5662, 0.1755)  2 Fe 1.97-2.04, 1 Li 2.16
F (0.7619, 0.0662, 0.1755)  2 Fe 1.97-2.04, 1 Li 2.16
F (0.7619, 0.9338, 0.6755)  2 Fe 1.97-2.04, 1 Li 2.16
F (0.8029, 0.3053, 0.4103)  1 Fe 1.90, 1 Li 2.04
F (0.8029, 0.6947, 0.9103)  1 Fe 1.90, 1 Li 2.04

=====

No. 12
VASP calculation (PBE with a Hubbard U) on a relaxed BaNaCaMnO6 crystal.

Results
Raw total energy (eV/cell): -58.6

Unit cell a=5.9133 b=5.9133 c=5.9133 alpha=60.00 beta=60.00 gamma=60.00
Closest atoms and distances in Å follow each position.
Positions (direct):
Ba (0.0000, 0.0000, 0.0000)  12 O 2.96
Na (0.5000, 0.5000, 0.5000)  12 O 2.96
Ca (0.7500, 0.7500, 0.7500)  6 O 2.29
Mn (0.2500, 0.2500, 0.2500)  6 O 1.89
O (0.0235, 0.0235, 0.4765)  1 Mn 1.89
O (0.0235, 0.4765, 0.0235)  1 Mn 1.89
O (0.0235, 0.4765, 0.4765)  1 Mn 1.89
O (0.4765, 0.0235, 0.0235)  1 Mn 1.89
O (0.4765, 0.0235, 0.4765)  1 Mn 1.89
O (0.4765, 0.4765, 0.0235)  1 Mn 1.89

=====

What did the eighth record say?
VASP calculation (PBE with a Hubbard U) on a relaxed MgV4O10 crystal.

Results
Relative energy among the computed polymorphs (kcal/mol of atoms): 1.11
Raw total energy (eV/cell): -110.4

Unit cell a=5.2781 b=6.5775 c=6.6638 alpha=79.61 beta=88.31 gamma=89.92
Closest atoms and distances in Å follow each position.
Positions (direct):
Mg (0.0000, 0.0000, 0.0000)  4 O 2.05-2.06
V (0.4204, 0.6931, 0.8405)  1 O 1.66
V (0.4551, 0.1956, 0.7043)  4 O 1.67-1.84
V (0.5449, 0.8044, 0.2957)  4 O 1.67-1.84
V (0.5796, 0.3069, 0.1595)  1 O 1.66
O (0.1181, 0.7398, 0.8932)  1 V 1.66
O (0.1433, 0.1515, 0.7246)  1 V 1.67
O (0.3928, 0.0392, 0.1817)  2 V 1.79-2.00
O (0.4513, 0.7206, 0.5463)  1 V 1.72
O (0.4917, 0.3944, 0.8627)  3 V 1.84-2.02
O (0.5083, 0.6056, 0.1373)  3 V 1.84-2.02
O (0.5487, 0.2794, 0.4537)  1 V 1.72
O (0.6072, 0.9608, 0.8183)  2 V 1.79-2.00
O (0.8567, 0.8485, 0.2754)  1 V 1.67
O (0.8819, 0.2602, 0.1068)  1 V 1.66